Entry from Materials Project: CrRh3 after structural relaxation (meta-GGA r2SCAN).

Calculated values
* total magnetization: 1.682 μB/f.u.
* raw total energy: -22.018 eV per atom

a = 3.791 Å, b = 3.791 Å, c = 3.791 Å
α = 90.00°, β = 90.00°, γ = 90.00°
Fractional coordinates of all 4 atoms:
1 Cr 0.000 0.000 0.000
2 Rh 0.000 0.500 0.500
3 Rh 0.500 0.000 0.500
4 Rh 0.500 0.500 0.000